Entry i
# Pu2Zn17 | the Materials Project | GGA-PBE | relaxed
# M_tot: 0.34 Bohr magnetons per cell
# calculated volume: 16.14 Å³ per atom
data_Pu2Zn17
_chemical_formula_sum 'Pu4 Zn34'
_symmetry_space_group_name_H-M 'P 63/m m c'
_symmetry_Int_Tables_number 194
_symmetry_space_group_name_Hall '-P 6c 2c'
_cell_length_a 8.9167
_cell_length_b 8.9167
_cell_length_c 8.9081
_cell_angle_alpha 90.00
_cell_angle_beta 90.00
_cell_angle_gamma 120.00
loop_
_atom_site_label
_atom_site_fract_x
_atom_site_fract_y
_atom_site_fract_z
Pu1 0.0000 0.0000 0.2500
Pu2 0.3333 0.6667 0.2500
Zn1 0.0000 0.5000 0.0000
Zn2 0.0319 0.3612 0.7500
Zn3 0.1615 0.3231 0.0181
Zn4 0.3333 0.6667 0.5971

=====

Entry ii
# Pu2Zn17 | the Materials Project | GGA-PBE | relaxed
# calculated volume: 16.35 Å³ per atom
data_Pu2Zn17
_chemical_formula_sum 'Pu6 Zn51'
_symmetry_space_group_name_H-M 'R -3 m'
_symmetry_Int_Tables_number 166
_symmetry_space_group_name_Hall '-R 3 2"'
_cell_length_a 9.0130
_cell_length_b 9.0130
_cell_length_c 13.2490
_cell_angle_alpha 90.00
_cell_angle_beta 90.00
_cell_angle_gamma 120.00
loop_
_atom_site_label
_atom_site_fract_x
_atom_site_fract_y
_atom_site_fract_z
Pu1 0.0000 0.0000 0.1651
Zn1 0.0000 0.0000 0.3985
Zn2 0.0000 0.3006 0.5000
Zn3 0.0000 0.5000 0.0000
Zn4 0.0096 0.5048 0.6526

=====

entry ii takes first place; second place is 217 meV/atom up.

=====

Entry i
# Rb | the Materials Project | GGA-PBE | relaxed
# calculated volume: 90.89 Å³ per atom
data_Rb
_chemical_formula_sum 'Rb4'
_symmetry_space_group_name_H-M 'F m -3 m'
_symmetry_Int_Tables_number 225
_symmetry_space_group_name_Hall '-F 4 2 3'
_cell_length_a 7.137
_cell_length_b 7.137
_cell_length_c 7.137
_cell_angle_alpha 90.00
_cell_angle_beta 90.00
_cell_angle_gamma 90.00
loop_
_atom_site_label
_atom_site_fract_x
_atom_site_fract_y
_atom_site_fract_z
Rb1 0.000 0.000 0.000

=====

Entry ii
# Rb | the Materials Project | GGA-PBE | relaxed
# calculated volume: 89.90 Å³ per atom
data_Rb
_chemical_formula_sum 'Rb2'
_symmetry_space_group_name_H-M 'I m -3 m'
_symmetry_Int_Tables_number 229
_symmetry_space_group_name_Hall '-I 4 2 3'
_cell_length_a 5.644
_cell_length_b 5.644
_cell_length_c 5.644
_cell_angle_alpha 90.00
_cell_angle_beta 90.00
_cell_angle_gamma 90.00
loop_
_atom_site_label
_atom_site_fract_x
_atom_site_fract_y
_atom_site_fract_z
Rb1 0.000 0.000 0.000

=====

entry ii takes first place; second place is 6 meV/atom up.

=====

Entry i
# Rb | the Materials Project | GGA-PBE | relaxed
# M_tot: 0.00 Bohr magnetons per cell
# calculated volume: 96.08 Å³ per atom
data_Rb
_chemical_formula_sum 'Rb4'
_symmetry_space_group_name_H-M 'I 41/a m d'
_symmetry_Int_Tables_number 141
_cell_length_a 4.758
_cell_length_b 4.758
_cell_length_c 16.977
_cell_angle_alpha 90.00
_cell_angle_beta 90.00
_cell_angle_gamma 90.00
loop_
_symmetry_equiv_pos_as_xyz
'x,y,z'
'-x,-y,-z'
'-y+1/4,x+3/4,z+1/4'
'y+1/4,-x+3/4,-z+1/4'
'-x+1/2,-y,z+1/2'
'x+1/2,y,-z+1/2'
'y+1/4,-x+1/4,z+3/4'
'-y+1/4,x+1/4,-z+3/4'
'x,-y,-z'
'-x,y,z'
'-y+1/4,-x+1/4,-z+3/4'
'y+1/4,x+1/4,z+3/4'
'-x+1/2,y,-z+1/2'
'x+1/2,-y,z+1/2'
'y+1/4,x+3/4,-z+1/4'
'-y+1/4,-x+3/4,z+1/4'
'x+1/2,y+1/2,z+1/2'
'-x+1/2,-y+1/2,-z+1/2'
'-y+3/4,x+1/4,z+3/4'
'y+3/4,-x+1/4,-z+3/4'
'-x,-y+1/2,z'
'x,y+1/2,-z'
'y+3/4,-x+3/4,z+1/4'
'-y+3/4,x+3/4,-z+1/4'
'x+1/2,-y+1/2,-z+1/2'
'-x+1/2,y+1/2,z+1/2'
'-y+3/4,-x+3/4,-z+1/4'
'y+3/4,x+3/4,z+1/4'
'-x,y+1/2,-z'
'x,-y+1/2,z'
'y+3/4,x+1/4,-z+3/4'
'-y+3/4,-x+1/4,z+3/4'
loop_
_atom_site_label
_atom_site_fract_x
_atom_site_fract_y
_atom_site_fract_z
Rb1 0.000 0.250 0.375

=====

Entry ii
# Rb | the Materials Project | GGA-PBE | relaxed
# calculated volume: 90.50 Å³ per atom
data_Rb
_chemical_formula_sum 'Rb2'
_symmetry_space_group_name_H-M 'P 63/m m c'
_symmetry_Int_Tables_number 194
_symmetry_space_group_name_Hall '-P 6c 2c'
_cell_length_a 5.0507
_cell_length_b 5.0507
_cell_length_c 8.1927
_cell_angle_alpha 90.00
_cell_angle_beta 90.00
_cell_angle_gamma 120.00
loop_
_atom_site_label
_atom_site_fract_x
_atom_site_fract_y
_atom_site_fract_z
Rb1 0.3333 0.6667 0.2500

=====

Entry iii
# Rb | the Materials Project | GGA-PBE | relaxed
# calculated volume: 94.51 Å³ per atom
data_Rb
_chemical_formula_sum 'Rb52'
_symmetry_space_group_name_H-M 'C 2 2 21'
_symmetry_Int_Tables_number 20
_cell_length_a 11.633
_cell_length_b 16.564
_cell_length_c 25.506
_cell_angle_alpha 90.00
_cell_angle_beta 90.00
_cell_angle_gamma 90.00
loop_
_symmetry_equiv_pos_as_xyz
'x,y,z'
'-x,-y,z+1/2'
'x,-y,-z'
'-x,y,-z+1/2'
'x+1/2,y+1/2,z'
'-x+1/2,-y+1/2,z+1/2'
'x+1/2,-y+1/2,-z'
'-x+1/2,y+1/2,-z+1/2'
loop_
_atom_site_label
_atom_site_fract_x
_atom_site_fract_y
_atom_site_fract_z
Rb1 0.000 0.090 0.250
Rb2 0.007 0.406 0.073
Rb3 0.068 0.107 0.607
Rb4 0.112 0.372 0.683
Rb5 0.160 0.133 0.044
Rb6 0.214 0.357 0.267
Rb7 0.245 0.338 0.911

=====

Entry iv
# Rb | the Materials Project | GGA-PBE | relaxed
# M_tot: 0.01 Bohr magnetons per cell
# calculated volume: 93.06 Å³ per atom
data_Rb
_chemical_formula_sum 'Rb8'
_symmetry_space_group_name_H-M 'P 1'
_symmetry_Int_Tables_number 1
_cell_length_a 8.979
_cell_length_b 9.420
_cell_length_c 9.985
_cell_angle_alpha 102.42
_cell_angle_beta 114.11
_cell_angle_gamma 92.54
loop_
_symmetry_equiv_pos_as_xyz
'x,y,z'
loop_
_atom_site_label
_atom_site_fract_x
_atom_site_fract_y
_atom_site_fract_z
Rb1 0.000 0.000 0.000
Rb2 0.024 0.492 0.985
Rb3 0.089 0.480 0.477
Rb4 0.416 0.997 0.501
Rb5 0.485 0.786 0.980
Rb6 0.530 0.297 0.020
Rb7 0.610 0.518 0.533
Rb8 0.909 0.986 0.484

=====

entry ii takes first place; second place is 44 meV/atom up.

=====

Entry i
# Rb3Re | the Materials Project | GGA-PBE | relaxed
# M_tot: 3.75 Bohr magnetons per cell
# calculated volume: 55.66 Å³ per atom
data_Rb3Re
_chemical_formula_sum 'Rb3 Re1'
_symmetry_space_group_name_H-M 'P m -3 m'
_symmetry_Int_Tables_number 221
_symmetry_space_group_name_Hall '-P 4 2 3'
_cell_length_a 6.061
_cell_length_b 6.061
_cell_length_c 6.061
_cell_angle_alpha 90.00
_cell_angle_beta 90.00
_cell_angle_gamma 90.00
loop_
_atom_site_label
_atom_site_fract_x
_atom_site_fract_y
_atom_site_fract_z
Rb1 0.000 0.000 0.500
Re1 0.500 0.500 0.500

=====

Entry ii
# Rb3Re | the Materials Project | GGA-PBE | relaxed
# M_tot: 15.65 Bohr magnetons per cell
# calculated volume: 50.19 Å³ per atom
data_Rb3Re
_chemical_formula_sum 'Rb12 Re4'
_symmetry_space_group_name_H-M 'F m -3 m'
_symmetry_Int_Tables_number 225
_symmetry_space_group_name_Hall '-F 4 2 3'
_cell_length_a 9.295
_cell_length_b 9.295
_cell_length_c 9.295
_cell_angle_alpha 90.00
_cell_angle_beta 90.00
_cell_angle_gamma 90.00
loop_
_atom_site_label
_atom_site_fract_x
_atom_site_fract_y
_atom_site_fract_z
Rb1 0.000 0.000 0.000
Rb2 0.250 0.250 0.250
Re1 0.000 0.000 0.500

=====

entry ii takes first place; second place is 18 meV/atom up.

=====

Entry i
# RbSb3Se5 | the Materials Project | GGA-PBE | relaxed
# M_tot: 0.00 Bohr magnetons per cell
# calculated volume: 32.37 Å³ per atom
data_RbSb3Se5
_chemical_formula_sum 'Rb4 Sb12 Se20'
_symmetry_space_group_name_H-M 'P 1 21/c 1'
_symmetry_Int_Tables_number 14
_cell_length_a 8.888
_cell_length_b 13.401
_cell_length_c 12.425
_cell_angle_alpha 90.00
_cell_angle_beta 128.05
_cell_angle_gamma 90.00
loop_
_symmetry_equiv_pos_as_xyz
'x,y,z'
'-x,-y,-z'
'-x,y+1/2,-z+1/2'
'x,-y+1/2,z+1/2'
loop_
_atom_site_label
_atom_site_fract_x
_atom_site_fract_y
_atom_site_fract_z
Rb1 0.177 0.248 0.302
Sb1 0.254 0.598 0.630
Sb2 0.314 0.541 0.322
Sb3 0.359 0.560 0.040
Se1 0.098 0.518 0.786
Se2 0.143 0.645 0.095
Se3 0.322 0.689 0.464
Se4 0.325 0.086 0.099
Se5 0.390 0.122 0.644

=====

Entry ii
# RbSb3Se5 | the Materials Project | GGA-PBE | relaxed
# M_tot: 0.00 Bohr magnetons per cell
# calculated volume: 31.86 Å³ per atom
data_RbSb3Se5
_chemical_formula_sum 'Rb4 Sb12 Se20'
_symmetry_space_group_name_H-M 'P n m a'
_symmetry_Int_Tables_number 62
_cell_length_a 22.546
_cell_length_b 4.126
_cell_length_c 12.330
_cell_angle_alpha 90.00
_cell_angle_beta 90.00
_cell_angle_gamma 90.00
loop_
_symmetry_equiv_pos_as_xyz
'x,y,z'
'-x,-y,-z'
'-x+1/2,-y,z+1/2'
'x+1/2,y,-z+1/2'
'x+1/2,-y+1/2,-z+1/2'
'-x+1/2,y+1/2,z+1/2'
'-x,y+1/2,-z'
'x,-y+1/2,z'
loop_
_atom_site_label
_atom_site_fract_x
_atom_site_fract_y
_atom_site_fract_z
Rb1 0.090 0.250 0.151
Sb1 0.061 0.750 0.609
Sb2 0.168 0.250 0.806
Sb3 0.194 0.250 0.450
Se1 0.045 0.250 0.775
Se2 0.071 0.250 0.444
Se3 0.172 0.750 0.961
Se4 0.183 0.750 0.632
Se5 0.199 0.750 0.298

=====

entry ii takes first place; second place is 5 meV/atom up.

=====

Entry i
# Rb3Si | the Materials Project | GGA-PBE | relaxed
# M_tot: 2.00 Bohr magnetons per cell
# calculated volume: 45.38 Å³ per atom
data_Rb3Si
_chemical_formula_sum 'Rb6 Si2'
_symmetry_space_group_name_H-M 'I 4/m m m'
_symmetry_Int_Tables_number 139
_symmetry_space_group_name_Hall '-I 4 2'
_cell_length_a 6.263
_cell_length_b 6.263
_cell_length_c 9.255
_cell_angle_alpha 90.00
_cell_angle_beta 90.00
_cell_angle_gamma 90.00
loop_
_atom_site_label
_atom_site_fract_x
_atom_site_fract_y
_atom_site_fract_z
Rb1 0.000 0.000 0.000
Rb2 0.000 0.500 0.250
Si1 0.000 0.000 0.500

=====

Entry ii
# Rb3Si | the Materials Project | GGA-PBE | relaxed
# M_tot: 2.05 Bohr magnetons per cell
# calculated volume: 49.22 Å³ per atom
data_Rb3Si
_chemical_formula_sum 'Rb6 Si2'
_symmetry_space_group_name_H-M 'P 63/m m c'
_symmetry_Int_Tables_number 194
_symmetry_space_group_name_Hall '-P 6c 2c'
_cell_length_a 8.5668
_cell_length_b 8.5668
_cell_length_c 6.1954
_cell_angle_alpha 90.00
_cell_angle_beta 90.00
_cell_angle_gamma 120.00
loop_
_atom_site_label
_atom_site_fract_x
_atom_site_fract_y
_atom_site_fract_z
Rb1 0.1860 0.3721 0.2500
Si1 0.3333 0.6667 0.7500

=====

entry i takes first place; second place is 11 meV/atom up.